[1]
This record from the Materials Project database describes a relaxed Ga3Ni13Ge6 crystal. The functional is PBE.

a b c (Å): 7.8946 7.8946 15.1113
angles (deg): 90.00 90.00 120.00
Space group P3_121 (No. 152)
Asymmetric unit:
Ga 0.0000 0.4900 0.1667 x3
Ga 0.1114 0.8059 0.7466 x6
Ni 0.0000 0.0083 0.6667 x3
Ni 0.0000 0.4918 0.6667 x3
Ni 0.0000 0.9982 0.1667 x3
Ni 0.0022 0.4968 0.8337 x6
Ni 0.0033 0.5056 0.3316 x6
Ni 0.1593 0.8183 0.2403 x6
Ni 0.1648 0.3407 0.2490 x6
Ni 0.3204 0.6626 0.0871 x6
Ge 0.1137 0.3071 0.4105 x6
Ge 0.1671 0.3339 0.7479 x6
Ge 0.3063 0.6132 0.9223 x6

Properties
- ΔH_f (0 K) (eV/atom) = -0.340
- volume (Å³ per atom) = 12.36
- size of the total moment (μB per cell) = 0.002

=====

[2]
This record from the Materials Project database describes a relaxed K3NaBe2F8 crystal. The functional is PBE.

a b c (Å): 5.6762 5.6762 7.3639
angles (deg): 90.00 90.00 120.00
Space group P-3m1 (No. 164)
Asymmetric unit:
K 0.0000 0.0000 0.0000 x1
K 0.3333 0.6667 0.6769 x2
Na 0.0000 0.0000 0.5000 x1
Be 0.3333 0.6667 0.2312 x2
F 0.1836 0.3671 0.3104 x6
F 0.3333 0.6667 0.0246 x2

Properties
- ΔH_f (0 K) (eV/atom) = -3.311
- E (MP2020) (eV per atom) = -5.27
- volume (Å³ per atom) = 14.68
- size of the total moment (μB per cell) = 0.001

=====

[3]
This record from the Materials Project database describes a relaxed Na2CaP4O12 crystal. The functional is PBE.

a b c (Å): 9.777 9.777 5.010
angles (deg): 90.00 90.00 90.00
Space group P4/nbm (No. 125, origin choice 2)
Asymmetric unit:
Na 0.000 0.000 0.000 x4
Ca 0.250 0.250 0.000 x2
P 0.033 0.750 0.500 x8
O 0.043 0.190 0.267 x16
O 0.137 0.637 0.628 x8

Properties
- ΔH_f (0 K) (eV/atom) = -2.802
- E (MP2020) (eV per atom) = -7.31
- volume (Å³ per atom) = 12.60
- size of the total moment (μB per cell) = 0.001

=====

[4]
This record from the Materials Project database describes a relaxed Ta2CuO6 crystal. The functional is PBE.

a b c (Å): 4.795 4.795 9.165
angles (deg): 90.00 90.00 90.00
Space group P4_2/mnm (No. 136)
Asymmetric unit:
Ta 0.000 0.000 0.168 x4
Cu 0.000 0.000 0.500 x2
O 0.188 0.188 0.000 x4
O 0.204 0.204 0.324 x8

Properties
- ΔH_f (0 K) (eV/atom) = -2.743
- E (MP2020) (eV per atom) = -9.13
- volume (Å³ per atom) = 11.70
- size of the total moment (μB per cell) = 2.000

=====

[5]
This record from the Materials Project database describes a relaxed PrPb2 crystal. The functional is PBE.

a b c (Å): 3.373 3.373 17.409
angles (deg): 90.00 90.00 90.00
Space group I4/mmm (No. 139)
Asymmetric unit:
Pr 0.000 0.000 0.000 x2
Pb 0.000 0.000 0.346 x4

Properties
- ΔH_f (0 K) (eV/atom) = -0.120
- volume (Å³ per atom) = 33.01
- size of the total moment (μB per cell) = 0.155

=====

[6]
This record from the Materials Project database describes a relaxed Cu4GeS4 crystal. The functional is PBE.

a b c (Å): 9.823 13.205 10.041
angles (deg): 90.00 100.66 90.00
Space group P2_1/c (No. 14)
Asymmetric unit:
Cu 0.072 0.161 0.070 x4
Cu 0.163 0.135 0.425 x4
Cu 0.178 0.656 0.176 x4
Cu 0.230 0.588 0.491 x4
Cu 0.304 0.156 0.819 x4
Cu 0.339 0.683 0.718 x4
Cu 0.386 0.047 0.529 x4
Cu 0.418 0.687 0.988 x4
Ge 0.052 0.587 0.807 x4
Ge 0.439 0.087 0.184 x4
S 0.003 0.077 0.250 x4
S 0.105 0.675 0.623 x4
S 0.129 0.174 0.634 x4
S 0.236 0.585 0.989 x4
S 0.257 0.082 0.008 x4
S 0.367 0.670 0.361 x4
S 0.379 0.175 0.365 x4
S 0.488 0.072 0.746 x4

Properties
- ΔH_f (0 K) (eV/atom) = -0.463
- E (MP2020) (eV per atom) = -4.64
- volume (Å³ per atom) = 17.78
- size of the total moment (μB per cell) = 0.000

=====

[7]
This record from the Materials Project database describes a relaxed Fe2NiB crystal. The functional is PBE.

a b c (Å): 5.333 6.618 4.403
angles (deg): 90.00 90.00 90.00
Space group Pnma (No. 62)
Asymmetric unit:
Fe 0.181 0.061 0.147 x8
Ni 0.030 0.250 0.633 x4
B 0.122 0.750 0.944 x4

Properties
- ΔH_f (0 K) (eV/atom) = -0.206
- volume (Å³ per atom) = 9.71
- size of the total moment (μB per cell) = 17.173

=====

[8]
This record from the Materials Project database describes a relaxed Pr3Er crystal. The functional is PBE.

a b c (Å): 7.3923 7.3923 5.9438
angles (deg): 90.00 90.00 120.00
Space group P6_3/mmc (No. 194)
Asymmetric unit:
Pr 0.1677 0.3354 0.2500 x6
Er 0.3333 0.6667 0.7500 x2

Properties
- ΔH_f (0 K) (eV/atom) = 0.028
- volume (Å³ per atom) = 35.16

=====

[9]
This record from the Materials Project database describes a relaxed HfSe4Cl6 crystal. The functional is PBE.

a b c (Å): 11.102 11.102 11.129
angles (deg): 90.00 90.00 90.00
Space group P4_2/ncm (No. 138, origin choice 2)
Asymmetric unit:
Hf 0.000 0.000 0.000 x4
Se 0.090 0.090 0.421 x8
Se 0.105 0.605 0.000 x8
Cl 0.055 0.669 0.636 x16
Cl 0.132 0.132 0.113 x8

Properties
- ΔH_f (0 K) (eV/atom) = -1.273
- E (MP2020) (eV per atom) = -4.46
- volume (Å³ per atom) = 31.17

=====

[10]
This record from the Materials Project database describes a relaxed AgN crystal. The functional is PBE.

a b c (Å): 4.616 4.616 4.616
angles (deg): 90.00 90.00 90.00
Space group Fm-3m (No. 225)
Asymmetric unit:
Ag 0.000 0.000 0.000 x4
N 0.000 0.000 0.500 x4

Properties
- ΔH_f (0 K) (eV/atom) = 1.420
- E (MP2020) (eV per atom) = -4.16
- volume (Å³ per atom) = 12.30
- size of the total moment (μB per cell) = 0.005

=====

[11]
This record from the Materials Project database describes a relaxed CeCuSi crystal. The functional is PBE.

a b c (Å): 4.1129 4.1129 4.0468
angles (deg): 90.00 90.00 120.00
Space group P-6m2 (No. 187)
Asymmetric unit:
Ce 0.0000 0.0000 0.0000 x1
Cu 0.3333 0.6667 0.5000 x1
Si 0.6667 0.3333 0.5000 x1

Properties
- ΔH_f (0 K) (eV/atom) = -0.535
- E (MP2020) (eV per atom) = -5.69
- volume (Å³ per atom) = 19.76

=====

[12]
This record from the Materials Project database describes a relaxed SrNd2BeO5 crystal. The functional is PBE.

a b c (Å): 9.642 6.616 7.287
angles (deg): 90.00 90.00 90.00
Space group Pna2_1 (No. 33)
Asymmetric unit:
Sr 0.175 0.083 0.000 x4
Nd 0.023 0.596 0.765 x4
Nd 0.172 0.074 0.546 x4
Be 0.101 0.808 0.268 x4
O 0.010 0.020 0.269 x4
O 0.068 0.696 0.460 x4
O 0.069 0.686 0.077 x4
O 0.222 0.337 0.266 x4
O 0.226 0.364 0.768 x4

Properties
- ΔH_f (0 K) (eV/atom) = -3.470
- E (MP2020) (eV per atom) = -7.88
- volume (Å³ per atom) = 12.91
- size of the total moment (μB per cell) = 0.000